[1]
VASP calculation (PBE) on a relaxed structure of NaMg6BO7.

As for the energy above the most stable polymorph in this dataset: 142 meV/atom. The formation energy from the elements comes out at -33.47 eV per formula unit. As for the magnetic moment: 0.67 μB/cell. The energy with MP2020 corrections comes out at -85.7 eV per formula unit.

a = 4.2314 Å, b = 4.2314 Å, c = 8.9078 Å
α = 90.00°, β = 90.00°, γ = 90.00°
Closest atoms and distances in Å follow each position.
Space group P4mm (No. 99)
Asymmetric unit:
1 Na 0.0000 0.0000 0.0000 x1  5 O 2.12-2.24
2 Mg 0.0000 0.0000 0.5208 x1  5 O 2.03-2.12
3 Mg 0.0000 0.5000 0.2311 x2  3 O 2.04-2.14
4 Mg 0.0000 0.5000 0.7665 x2  6 O 2.09-2.16
5 Mg 0.5000 0.5000 0.4911 x1  5 O 1.99-2.14
6 B 0.5000 0.5000 0.9598 x1  1 O 1.39
7 O 0.0000 0.0000 0.7483 x1  5 Mg 2.03-2.12, 1 Na 2.24
8 O 0.0000 0.5000 0.0017 x2  2 Mg 2.04-2.09, 2 Na 2.12, 2 B 2.15
9 O 0.0000 0.5000 0.5244 x2  5 Mg 2.12-2.16
10 O 0.5000 0.5000 0.2681 x1  5 Mg 1.99-2.14
11 O 0.5000 0.5000 0.8040 x1  1 B 1.39



[2]
VASP calculation (PBE) on a relaxed structure of NaMgBP2O11.

The formation energy from the elements comes out at -29.36 eV per formula unit. As for the magnetic moment: 0.01 μB/cell.

a = 9.9864 Å, b = 9.9864 Å, c = 14.9261 Å
α = 90.00°, β = 90.00°, γ = 120.00°
Closest atoms and distances in Å follow each position.
Space group P6_122 (No. 178)
Asymmetric unit:
1 Na 0.2567 0.5134 0.2500 x6  4 O 2.23-2.43
2 Mg 0.0216 0.5108 0.0833 x6  4 O 1.96-1.97
3 B 0.1595 0.3189 0.7500 x6  4 O 1.49
4 P 0.1532 0.3813 0.9282 x12  4 O 1.53-1.58
5 O 0.0000 0.2167 0.3333 x6  2 O 1.30
6 O 0.0054 0.2193 0.9403 x12  1 B 1.49, 1 P 1.56
7 O 0.0811 0.3778 0.5398 x12  1 P 1.53
8 O 0.1095 0.3405 0.3714 x12  1 O 1.30
9 O 0.1359 0.5076 0.9764 x12  1 P 1.53
10 O 0.1763 0.4243 0.8250 x12  1 B 1.49, 1 P 1.58



[3]
VASP calculation (PBE) on a relaxed structure of Mg14NbB.

As for the energy above the most stable polymorph in this dataset: 7 meV/atom. The formation energy from the elements comes out at 3.78 eV per formula unit. As for the magnetic moment: 0.00 μB/cell.

a = 10.0296 Å, b = 6.0991 Å, c = 10.8655 Å
α = 90.00°, β = 90.00°, γ = 90.00°
Closest atoms and distances in Å follow each position.
Space group Amm2 (No. 38)
Asymmetric unit:
1 Mg 0.0000 0.0000 0.0000 x2  12 Mg 3.05-3.19
2 Mg 0.0000 0.0000 0.4986 x2  12 Mg 3.05-3.20
3 Mg 0.0000 0.2480 0.2514 x4  12 Mg 3.02-3.23
4 Mg 0.2516 0.0000 0.6622 x4  1 Nb 3.01, 11 Mg 3.05-3.17
5 Mg 0.2640 0.0000 0.1588 x4  1 B 2.94, 11 Mg 3.00-3.22
6 Mg 0.2661 0.2464 0.9188 x8  1 B 2.92, 1 Nb 2.97, 10 Mg 2.97-3.23
7 Mg 0.5000 0.2452 0.7513 x4  8 Mg 2.97-3.11, 2 Nb 3.06-3.17, 2 B 3.07-3.16
8 Nb 0.5000 0.0000 0.5061 x2  10 Mg 2.97-3.17, 2 B 3.05
9 B 0.5000 0.0000 0.9983 x2  10 Mg 2.92-3.16, 2 Nb 3.05



[4]
VASP calculation (PBE) on a relaxed structure of Mg14NbB.

As for the energy above the most stable polymorph in this dataset: 0 meV/atom. The formation energy from the elements comes out at 3.67 eV per formula unit. As for the magnetic moment: 0.00 μB/cell.

a = 6.2096 Å, b = 6.2096 Å, c = 9.9048 Å
α = 90.00°, β = 90.00°, γ = 120.00°
Closest atoms and distances in Å follow each position.
Space group P-6m2 (No. 187)
Asymmetric unit:
1 Mg 0.0000 0.0000 0.2429 x2  12 Mg 3.02-3.11
2 Mg 0.0200 0.5100 0.2569 x6  8 Mg 2.92-3.14, 1 B 2.94, 1 Nb 3.05
3 Mg 0.3305 0.1652 0.5000 x3  10 Mg 3.04-3.13, 2 B 3.10
4 Mg 0.3403 0.1702 0.0000 x3  10 Mg 3.02-3.17, 2 Nb 3.11
5 Nb 0.3333 0.6667 0.0000 x1  12 Mg 3.05-3.11
6 B 0.3333 0.6667 0.5000 x1  12 Mg 2.94-3.10



[5]
VASP calculation (PBE) on a relaxed structure of Mg14NiB.

As for the energy above the most stable polymorph in this dataset: 54 meV/atom. The formation energy from the elements comes out at 3.06 eV per formula unit. As for the magnetic moment: 0.00 μB/cell.

a = 6.2059 Å, b = 6.2059 Å, c = 9.8116 Å
α = 90.00°, β = 90.00°, γ = 120.00°
Closest atoms and distances in Å follow each position.
Space group P-6m2 (No. 187)
Asymmetric unit:
1 Mg 0.0000 0.0000 0.2483 x2  12 Mg 3.02-3.10
2 Mg 0.0163 0.5082 0.2500 x6  10 Mg 2.95-3.26, 1 Ni 2.99, 1 B 2.99
3 Mg 0.3327 0.1664 0.5000 x3  10 Mg 3.05-3.11, 2 B 3.10
4 Mg 0.3333 0.1667 0.0000 x3  10 Mg 3.02-3.10, 2 Ni 3.10
5 Ni 0.3333 0.6667 0.0000 x1  12 Mg 2.99-3.10
6 B 0.3333 0.6667 0.5000 x1  12 Mg 2.99-3.10



[6]
VASP calculation (PBE) on a relaxed structure of Mg14NiB.

As for the energy above the most stable polymorph in this dataset: 0 meV/atom. The formation energy from the elements comes out at 2.19 eV per formula unit. As for the magnetic moment: 0.00 μB/cell.

a = 9.5913 Å, b = 6.4224 Å, c = 10.8177 Å
α = 90.00°, β = 90.00°, γ = 90.00°
Closest atoms and distances in Å follow each position.
Space group Amm2 (No. 38)
Asymmetric unit:
1 Mg 0.0000 0.0000 0.0000 x2  8 Mg 3.06-3.22
2 Mg 0.0000 0.0000 0.4983 x2  8 Mg 3.04-3.24
3 Mg 0.0000 0.2486 0.2585 x4  10 Mg 3.01-3.24
4 Mg 0.2494 0.0000 0.1757 x4  1 B 2.85, 7 Mg 2.89-3.08
5 Mg 0.2495 0.0000 0.6717 x4  1 Ni 2.89, 9 Mg 2.94-3.21
6 Mg 0.3116 0.2407 0.9361 x8  1 B 2.60, 1 Ni 2.63
7 Mg 0.5000 0.2443 0.2074 x4  1 B 2.44, 1 Ni 2.58
8 Ni 0.5000 0.0000 0.5238 x2  6 Mg 2.58-2.63
9 B 0.5000 0.0000 0.0344 x2  6 Mg 2.44-2.60



[7]
VASP calculation (PBE) on a relaxed structure of MgNi3B2.

The formation energy from the elements comes out at -2.30 eV per formula unit.

a = 4.8802 Å, b = 4.8802 Å, c = 8.7467 Å
α = 90.00°, β = 90.00°, γ = 120.00°
Closest atoms and distances in Å follow each position.
Space group P6_422 (No. 181)
Asymmetric unit:
1 Mg 0.0000 0.0000 0.0000 x3  4 B 2.62, 8 Ni 2.67-2.84, 2 Mg 2.92
2 Ni 0.0000 0.5000 0.1247 x6  4 B 2.01-2.05
3 Ni 0.0000 0.5000 0.8333 x3  4 B 2.23, 4 Ni 2.47
4 B 0.2232 0.6116 0.3333 x6  1 B 1.89, 4 Ni 2.01-2.05



[8]
VASP calculation (PBE) on a relaxed structure of MgNi3B.

The formation energy from the elements comes out at -1.36 eV per formula unit. As for the magnetic moment: 0.19 μB/cell.

a = 3.8624 Å, b = 3.8624 Å, c = 3.8624 Å
α = 90.00°, β = 90.00°, γ = 90.00°
Closest atoms and distances in Å follow each position.
Space group Pm-3m (No. 221)
Asymmetric unit:
1 Mg 0.0000 0.0000 0.0000 x1  12 Ni 2.73
2 Ni 0.0000 0.5000 0.5000 x3  2 B 1.93
3 B 0.5000 0.5000 0.5000 x1  6 Ni 1.93